[1]
Compound: FeO2
Source: the Materials Project
Functional: PBE+U
Structure: relaxed

Cell and atoms, written as POSCAR:
```
FeO2
1.0
3.003 5.183 0.000
-3.003 5.183 0.000
0.000 0.097 14.400
Fe O
12 24
Cartesian
-1.501 6.055 2.392
-1.498 7.820 7.200
1.501 6.055 2.392
0.000 5.224 7.200
0.000 8.658 2.397
0.000 1.752 11.987
1.498 7.820 7.200
0.000 6.911 4.802
0.000 3.530 9.596
-1.555 4.425 11.997
1.555 4.425 11.997
0.000 3.482 0.663
0.000 6.916 8.175
0.000 6.908 1.420
0.000 3.553 13.136
1.258 2.807 10.896
-1.294 4.331 8.339
0.000 4.975 10.884
1.294 4.331 8.339
1.620 6.048 12.870
0.000 0.036 3.333
-1.258 2.807 10.896
0.000 5.438 3.646
0.000 8.411 6.004
0.000 1.756 1.407
-1.484 4.333 1.411
-1.266 7.640 3.654
0.000 10.419 10.889
1.277 6.141 6.031
-1.277 6.141 6.031
-1.620 6.048 12.870
0.000 8.862 12.887
0.000 2.041 8.393
1.266 7.640 3.654
1.484 4.333 1.411
0.000 3.541 6.225
```


[2]
Compound: LiVP3O9
Source: the Materials Project
Functional: PBE+U
Structure: relaxed

Cell and atoms, written as POSCAR:
```
LiVP3O9
1.0
-5.100 3.755 -2.145
-3.902 -5.533 -0.777
-3.443 -0.177 6.637
P Li O V
6 2 18 2
Cartesian
-8.932 -1.255 0.530
-3.513 -0.700 3.185
-6.180 -0.816 -0.521
-7.757 -3.732 3.797
-4.688 1.777 -0.082
-6.265 -1.140 4.236
-3.670 -2.610 0.583
-8.775 0.655 3.132
-7.335 -1.119 0.587
-5.101 -1.817 -0.369
-7.489 -4.514 5.086
-6.690 -2.574 3.635
-3.292 1.366 0.202
-7.201 -4.647 2.577
-5.606 -1.392 5.575
-9.152 -3.321 3.513
-7.343 -0.138 4.083
-6.838 -0.563 -1.861
-9.458 -0.899 1.897
-8.037 2.334 2.240
-5.754 0.619 0.079
-2.986 -1.056 1.818
-5.109 -0.836 3.128
-5.243 2.692 1.138
-4.955 2.558 -1.371
-4.407 -4.289 1.475
-1.608 0.140 0.543
-10.836 -2.096 3.172
```


[3]
Compound: Mo2H26C8N2O5F6
Source: the Materials Project
Functional: PBE+U
Structure: relaxed

Cell and atoms, written as POSCAR:
```
Mo2H26C8N2O5F6
1.0
-9.382 -5.451 1.840
5.380 -6.255 8.906
-3.907 9.857 9.283
O H C F Mo N
20 104 32 24 8 8
Cartesian
-6.972 -6.230 9.923
-3.908 0.600 12.869
-5.122 -3.554 7.461
-3.636 -1.377 6.502
-1.669 -6.839 10.895
-7.363 -1.763 15.941
-7.393 2.910 10.966
-3.534 -1.330 14.748
-0.308 -5.000 9.405
-9.835 -0.301 11.003
-0.339 -0.327 4.430
-5.513 -0.692 4.657
-4.759 3.268 11.585
-2.204 3.644 10.753
0.699 1.749 15.495
-1.015 -0.356 15.500
2.664 -2.407 10.247
-3.933 -7.554 12.209
-7.127 -5.320 6.985
-2.449 6.138 7.602
-7.331 -0.840 18.445
-3.663 -5.068 13.354
-3.579 -5.769 5.992
0.237 0.015 7.687
-1.557 2.508 17.017
-7.327 0.025 10.833
-9.165 0.525 13.778
-2.727 -9.100 9.573
-5.114 -5.796 5.060
-5.898 -1.592 13.033
-6.417 -4.115 2.979
-8.858 5.527 11.238
-5.869 3.309 6.032
-4.688 0.522 17.687
-5.774 -4.300 7.387
-5.081 1.691 6.193
-1.091 -0.922 16.319
-4.509 3.898 13.995
-7.650 -1.598 12.595
0.466 -3.593 7.383
-6.052 -0.236 9.596
-5.922 -2.815 1.859
-3.197 1.122 5.032
-2.455 -0.599 2.975
-4.260 -1.876 11.466
-3.943 5.811 12.505
-2.931 0.289 10.455
-2.291 2.549 5.632
0.882 -3.577 11.619
-5.154 7.260 10.204
-11.242 3.626 11.330
-1.709 -2.025 8.706
-0.065 -1.749 9.398
-3.185 -2.140 2.413
-8.356 2.683 7.753
0.992 -7.276 8.898
-3.919 -8.350 12.810
-2.415 2.256 3.864
-4.624 -2.154 9.718
-0.415 1.787 9.943
-11.478 3.490 9.556
-1.895 1.089 18.066
2.038 -5.206 9.524
-2.294 5.548 13.164
-5.414 -0.967 17.003
-5.751 -4.648 16.304
-8.283 -2.224 10.304
2.146 -1.685 12.656
-3.744 -1.016 17.695
3.480 -5.523 8.508
-0.738 0.529 11.184
-3.325 -0.173 8.749
-3.180 -10.228 10.895
-7.148 -3.633 10.247
-2.758 1.489 9.137
-2.887 3.887 14.740
-4.640 8.512 9.040
-3.317 4.756 5.550
-2.813 -3.736 14.212
-5.791 -7.430 6.813
-1.510 -1.687 10.459
-9.821 3.425 10.251
-4.932 -3.450 10.924
-1.195 -2.393 5.177
0.597 -1.253 13.460
-7.017 -2.326 9.031
0.640 0.324 10.052
-7.534 0.833 5.342
-0.438 -5.764 6.496
-8.501 -0.833 6.643
-4.306 3.146 6.903
-1.736 -3.657 6.353
-7.491 1.108 7.761
-0.577 -3.101 12.551
-10.079 -0.632 5.807
-6.119 1.912 15.306
-10.038 2.103 13.756
0.070 -4.772 12.701
-3.028 -7.396 11.830
-5.584 0.140 11.291
-9.030 1.278 8.666
-4.150 -7.488 7.515
-0.924 1.388 7.639
-4.995 -3.311 15.356
-1.450 -0.241 7.095
-8.647 1.845 12.656
-0.464 -1.089 1.520
-8.832 0.851 16.213
-6.710 -3.129 12.588
1.938 -3.854 6.389
-3.072 3.443 11.193
-6.402 1.749 13.541
3.685 -5.197 10.270
-9.980 -0.510 7.607
0.990 -2.341 6.203
-5.705 -4.725 14.508
-1.871 -3.941 4.577
-6.901 0.431 14.659
-1.457 3.556 11.410
-7.473 3.767 13.493
-0.326 0.348 15.635
0.849 -2.668 3.945
-4.285 -3.872 7.902
-4.086 -0.600 2.218
-4.920 2.768 6.081
-3.894 4.309 14.804
0.934 -3.417 6.408
-6.671 -2.050 12.404
-3.093 -1.066 2.217
-0.375 0.718 10.170
-5.957 -3.901 2.009
-4.922 -2.370 10.748
-5.177 -4.390 15.407
-3.058 -4.804 14.227
-7.266 -2.558 10.071
-2.678 0.429 9.398
-9.069 1.607 13.638
-6.792 1.515 14.539
-9.467 -0.321 6.659
-1.126 -1.479 9.455
1.530 -1.817 13.553
-5.036 8.337 10.047
-4.741 -0.569 17.770
-6.318 -0.362 10.650
-1.286 -3.468 5.372
-4.111 -6.222 5.151
-1.913 2.181 17.999
-2.927 2.165 4.828
-0.813 0.310 7.797
-2.797 -10.149 9.873
-3.226 6.108 13.276
-4.816 -7.928 6.766
-10.820 3.865 10.348
0.328 -3.717 12.554
-8.472 1.594 7.777
3.042 -5.643 9.504
-2.826 -4.258 8.416
-5.584 -5.351 12.096
-2.541 6.486 10.347
-4.243 4.722 9.329
-0.185 3.640 12.367
-5.291 -8.426 9.810
-8.989 -3.324 7.329
-1.406 1.680 13.753
-2.280 3.450 8.007
-6.847 4.460 8.693
-9.488 -3.439 4.741
-5.435 2.271 9.111
-6.291 5.450 11.068
-2.071 -6.772 8.209
-2.412 -4.192 11.020
-7.766 -5.391 4.346
-6.265 -1.057 7.249
-1.599 -0.845 12.853
1.142 1.402 12.802
-4.113 -6.051 9.959
-0.596 4.069 14.932
-4.454 -3.249 4.665
-6.950 -3.009 5.535
-3.378 1.310 15.491
-8.434 -4.648 6.031
-1.916 -5.551 9.733
-5.953 3.654 10.362
0.565 2.751 14.065
-2.178 5.142 8.989
-5.780 -6.935 10.958
-5.164 -1.886 5.857
-2.794 0.093 14.090
-6.303 -1.831 10.967
-1.254 -0.007 9.197
2.904 -7.112 9.767
-5.332 -0.896 19.108
-8.144 2.161 14.679
0.092 -4.056 5.338
-9.234 1.157 6.561
-4.185 2.980 4.791
```


[4]
Compound: Li2Co4O7F
Source: the Materials Project
Functional: PBE+U
Structure: relaxed

Cell and atoms, written as POSCAR:
```
Li2Co4O7F
1.0
2.897 4.913 0.000
-2.897 4.913 0.000
0.000 3.312 4.744
Li O F Co
2 7 1 4
Cartesian
0.000 4.911 0.004
0.000 11.571 4.119
0.000 3.396 1.340
-1.337 7.493 3.353
0.000 4.893 3.387
0.000 8.230 1.359
1.337 7.493 3.353
1.336 5.662 1.380
-1.336 5.662 1.380
0.000 9.766 3.457
0.000 1.570 0.624
-1.421 4.067 2.344
1.421 4.067 2.344
0.000 6.608 2.394
```


[5]
Compound: BaLa4TiCr4O15
Source: the Materials Project
Functional: PBE+U
Structure: relaxed

Cell and atoms, written as POSCAR:
```
BaLa4TiCr4O15
1.0
5.581 0.000 0.000
-0.119 7.918 0.000
-2.723 -3.953 14.007
O La Cr Ba Ti
30 8 8 2 2
Cartesian
-0.033 1.978 0.260
-1.613 4.127 12.437
2.775 1.982 13.750
4.114 4.131 1.344
3.913 4.265 6.789
1.535 3.715 4.427
3.992 0.206 4.424
1.184 0.276 4.049
1.198 0.230 9.584
1.600 -0.292 6.804
-0.062 5.939 5.208
1.175 4.111 1.573
2.764 1.984 7.997
-0.032 1.987 11.322
4.348 -0.176 1.569
1.327 4.129 12.674
2.816 1.975 2.689
2.824 -1.975 8.805
-1.373 -0.163 12.670
-1.230 3.750 9.569
-0.057 1.980 6.011
1.582 3.715 9.988
1.406 -0.164 1.348
-1.610 0.259 9.969
2.679 5.935 3.176
4.351 3.721 4.039
0.037 -1.972 10.841
1.121 4.245 7.228
1.565 -0.154 12.441
-1.195 -0.306 7.204
0.031 -1.975 8.406
-0.048 1.980 2.839
2.699 5.946 5.609
2.778 1.984 11.180
2.772 1.976 5.562
-0.020 1.985 8.444
-0.085 5.934 2.837
2.828 -1.975 11.177
-0.027 3.962 11.167
0.002 -0.007 5.631
-0.057 3.968 5.632
2.739 3.971 8.382
2.792 -0.003 8.383
-0.013 0.010 11.167
2.769 0.000 2.844
2.752 3.953 2.846
2.760 1.979 0.037
-0.020 1.984 13.976
5.578 -0.001 0.004
-0.058 3.958 0.003
```


[6]
Compound: FeBiO3
Source: the Materials Project
Functional: PBE+U
Structure: relaxed

Cell and atoms, written as POSCAR:
```
FeBiO3
1.0
4.692 -0.378 2.056
1.196 4.553 2.056
-0.534 -0.378 5.095
Bi O Fe
1 3 1
Cartesian
0.066 0.047 0.113
2.592 -0.283 2.463
0.017 0.904 3.471
1.848 2.539 1.732
1.441 1.022 2.478
```


[7]
Compound: LiFe8O14F2
Source: the Materials Project
Functional: PBE+U
Structure: relaxed

Cell and atoms, written as POSCAR:
```
LiFe8O14F2
1.0
4.705 -0.017 -0.003
-0.017 4.734 0.001
-0.009 0.002 11.895
O Fe F Li
14 8 2 1
Cartesian
3.730 0.791 4.412
1.370 1.501 0.032
3.216 3.242 8.990
1.358 1.468 9.020
3.336 3.153 2.974
3.232 3.224 0.028
1.480 1.540 5.971
0.809 3.879 10.446
1.032 3.938 4.417
1.000 3.911 1.619
3.692 0.761 1.594
3.790 0.871 7.446
1.368 1.525 2.947
0.966 3.840 7.422
0.123 0.102 5.972
-0.010 4.720 3.007
-0.021 4.690 8.894
2.197 2.451 10.441
2.343 2.337 1.476
2.341 2.333 4.454
2.315 2.319 7.537
-0.016 4.691 0.094
3.687 0.891 10.463
3.383 3.239 5.954
2.344 4.706 2.966
```


[8]
Compound: MgCo6O10F2
Source: the Materials Project
Functional: PBE+U
Structure: relaxed

Cell and atoms, written as POSCAR:
```
MgCo6O10F2
1.0
4.844 -0.354 -0.001
-1.041 14.398 0.000
0.000 0.001 2.858
Co O F Mg
6 10 2 1
Cartesian
2.065 11.282 1.395
2.064 7.086 1.395
3.691 13.995 2.823
-0.206 9.225 2.824
4.297 4.882 2.824
1.314 2.709 1.394
1.230 10.418 2.824
2.949 7.938 2.823
2.452 12.513 2.823
0.061 4.191 1.396
1.051 1.409 2.823
3.482 5.775 1.395
3.690 0.313 1.394
1.181 6.263 2.824
-0.134 13.601 1.395
0.567 8.306 1.395
2.511 3.515 2.824
3.789 10.062 1.393
1.259 14.181 2.824
```


For the records above, the corresponding DFT formation energy values read -1.15, -2.61, -0.83, -1.57, -3.23, -1.09, -1.52, -1.37 eV per atom.